[1]
VASP calculation (GGA-PBE) on an optimized crystal structure of NaMg149.

The structure in extended XYZ format:
```
150
Lattice="-13.771 -1.789 -7.875 10.158 -12.256 1.203 -7.004 -4.502 13.271" Properties=species:S:1:pos:R:3 pbc="T T T"
Mg -0.448 -14.524 4.084
Mg -3.198 -14.879 2.512
Mg -11.317 -5.382 -1.640
Mg -4.506 -9.924 0.427
Mg -8.999 -3.575 -2.880
Mg -11.326 -5.083 1.545
Mg -15.674 -4.431 2.545
Mg 3.029 -11.664 3.816
Mg 8.086 -9.779 0.950
Mg -12.923 -4.075 4.120
Mg -10.016 -10.335 0.455
Mg -8.149 -6.171 5.942
Mg 2.599 -10.215 0.998
Mg 2.616 -10.514 -2.186
Mg -7.989 -12.785 0.694
Mg -4.086 -10.771 9.593
Mg -10.323 -14.312 5.122
Mg -9.297 -7.529 1.787
Mg -8.564 -5.028 -0.063
Mg -6.836 -11.421 4.841
Mg -3.468 -2.848 0.273
Mg -5.229 -12.429 2.271
Mg -10.315 -14.585 1.928
Mg -9.285 -7.832 -1.396
Mg 3.336 -7.716 -0.857
Mg 0.576 -7.774 0.759
Mg -1.335 -10.407 11.169
Mg -14.369 -9.695 1.450
Mg -1.028 -6.769 3.335
Mg -6.230 -3.529 -4.485
Mg -5.954 -15.240 0.935
Mg -4.805 -13.568 8.264
Mg -8.872 -8.977 4.605
Mg 6.085 -7.346 0.719
Mg -1.033 -6.462 6.510
Mg 5.349 -10.153 -0.621
Mg -2.471 -12.379 0.671
Mg -6.114 -8.328 9.349
Mg -10.594 -2.578 -0.294
Mg -6.235 -3.216 -1.300
Mg -7.269 -9.978 2.026
Mg 4.069 -4.914 0.481
Mg -7.555 -14.227 3.506
Mg -0.861 -13.376 -1.898
Mg -4.204 -5.667 -1.059
Mg 2.717 -15.289 11.617
Mg -2.162 -8.418 -3.997
Mg -7.254 -10.284 -1.159
Mg -4.799 -13.875 5.081
Mg -11.622 -9.335 3.032
Mg -5.100 -1.864 2.850
Mg -10.901 -6.530 4.364
Mg -2.335 -1.501 4.424
Mg 0.592 -8.072 -2.426
Mg -2.780 -16.022 8.501
Mg -9.599 -11.487 6.450
Mg -12.352 -11.845 4.875
Mg -14.391 -9.386 4.634
Na -13.771 -1.789 -7.875
Mg -3.065 -4.007 6.270
Mg 0.684 -12.850 11.402
Mg -6.547 -7.170 3.359
Mg -13.669 -6.577 5.968
Mg 4.638 -12.971 -1.952
Mg 1.883 -13.025 -0.334
Mg 0.271 -11.715 5.416
Mg -2.063 -13.212 9.832
Mg -5.392 -5.816 7.502
Mg 0.996 -8.908 6.751
Mg -10.015 -10.639 -2.724
Mg -0.143 -10.571 -0.570
Mg -7.988 -13.089 -2.482
Mg -6.961 -6.028 -2.639
Mg -1.454 -5.332 0.518
Mg -8.982 -3.884 -6.058
Mg -0.822 -13.667 -5.070
Mg -14.078 -5.438 -0.027
Mg 1.315 -5.286 -1.099
Mg -0.038 -15.659 10.068
Mg 0.280 -12.023 2.242
Mg -1.445 -5.630 -2.673
Mg -0.719 -2.857 -1.348
Mg 3.023 -11.357 6.991
Mg 5.058 -13.809 7.233
Mg -2.892 -10.925 -2.139
Mg -4.510 -9.623 3.603
Mg -2.865 -11.202 -5.312
Mg -10.905 -6.218 7.548
Mg -8.257 -16.715 5.342
Mg -3.361 -7.970 10.923
Mg -9.721 -6.384 -4.214
Mg -1.326 -10.711 7.988
Mg -4.923 -8.782 -5.577
Mg -1.751 -9.572 2.001
Mg -4.203 -5.975 -4.245
Mg -13.656 -6.886 2.793
Mg -3.619 -13.734 -3.445
Mg -4.080 -11.069 6.414
Mg -7.553 -13.921 6.692
Mg -11.633 -9.031 6.212
Mg -6.841 -11.122 8.020
Mg -8.574 -4.726 3.119
Mg -11.759 -3.925 -4.468
Mg -1.756 -9.269 5.176
Mg -7.682 -8.843 -3.973
Mg -12.345 -12.137 1.690
Mg -5.810 -4.667 1.509
Mg -2.049 -13.520 6.654
Mg -3.479 -3.169 -2.911
Mg -16.438 -6.933 4.397
Mg -14.070 -5.750 -3.202
Mg -10.180 -3.719 5.689
Mg -4.669 -3.001 8.847
Mg -12.047 -7.885 0.214
Mg -4.929 -8.486 -2.398
Mg -6.116 -8.622 6.170
Mg -5.522 -16.371 6.933
Mg 0.701 -13.160 8.226
Mg -6.951 -6.332 -5.817
Mg 1.300 -4.974 2.093
Mg 7.359 -12.604 -0.392
Mg -5.228 -12.731 -0.903
Mg -5.378 -5.522 10.658
Mg -3.356 -8.265 7.746
Mg 2.051 -2.497 0.235
Mg -9.594 -11.788 3.274
Mg 5.345 -9.855 2.572
Mg -16.398 -7.246 1.208
Mg -8.874 -8.669 7.789
Mg -0.740 -2.541 1.872
Mg -2.178 -8.125 -0.815
Mg -3.786 -7.125 1.756
Mg -3.065 -4.320 3.092
Mg -7.850 -2.221 1.275
Mg 4.622 -12.663 1.238
Mg -7.428 -3.360 7.260
Mg 1.905 -13.326 -3.515
Mg 7.354 -12.309 2.831
Mg -8.148 -5.855 9.139
Mg -5.644 -11.304 -3.744
Mg -13.346 -2.935 -1.865
Mg -6.535 -7.475 0.177
Mg 1.003 -9.215 3.576
Mg 2.301 -14.165 5.657
Mg -12.039 -8.197 -2.963
Mg 3.328 -7.410 2.334
Mg -5.823 -4.365 4.693
Mg -0.119 -10.863 -3.748
Mg -3.786 -6.820 4.936
Mg -2.476 -12.072 3.845
```

Calculated values
The electronic total energy is -1.6222 eV/atom. For the formation enthalpy at 0 K, the calculation gives -24 meV per atom.

[2]
VASP calculation (GGA-PBE) on an optimized crystal structure of NaMg3.

The structure in extended XYZ format:
```
4
Lattice="-0.896 0.641 4.542 -4.172 -2.037 -0.535 1.906 -4.157 0.963" Properties=species:S:1:pos:R:3 pbc="T T T"
Na 0.000 0.000 0.000
Mg -2.534 -0.698 2.003
Mg -1.133 -3.097 0.214
Mg 0.505 -1.758 2.752
```

Calculated values
The electronic total energy is -1.4279 eV/atom. For the magnetic moment, the calculation gives 0.00 μB/atom. For the formation enthalpy at 0 K, the calculation gives 103 meV per atom.

Question: Which of these has the lowest electronic total energy?
Answer: NaMg149